{
  "formula": "MnFeBiO5",
  "functional": "GGA+U",
  "state": "optimized geometry",
  "cell": [[-5.713, 0.082, 1.317], [1.456, -3.650, 6.539], [1.044, 7.672, 4.050]],
  "species": ["Mn", "Mn", "Mn", "Mn", "Fe", "Fe", "Fe", "Fe", "Bi", "Bi", "Bi", "Bi", "O", "O", "O", "O", "O", "O", "O", "O", "O", "O", "O", "O", "O", "O", "O", "O", "O", "O", "O", "O"],
  "frac_coords": [[0.253, 0.500, 0.000], [0.747, 0.000, 0.500], [0.747, 0.500, 0.000], [0.253, 0.000, 0.500], [0.500, 0.886, 0.147], [0.500, 0.114, 0.853], [0.500, 0.386, 0.353], [0.500, 0.614, 0.647], [0.000, 0.647, 0.338], [0.000, 0.353, 0.662], [0.000, 0.147, 0.162], [0.000, 0.853, 0.838], [0.000, 0.655, 0.057], [0.000, 0.345, 0.943], [0.000, 0.155, 0.443], [0.000, 0.845, 0.557], [0.281, 0.500, 0.500], [0.719, 0.000, 0.000], [0.719, 0.500, 0.500], [0.281, 0.000, 0.000], [0.500, 0.645, 0.077], [0.500, 0.355, 0.923], [0.500, 0.145, 0.423], [0.500, 0.855, 0.577], [0.252, 0.885, 0.301], [0.252, 0.115, 0.699], [0.748, 0.385, 0.199], [0.748, 0.615, 0.801], [0.748, 0.115, 0.699], [0.748, 0.885, 0.301], [0.252, 0.615, 0.801], [0.252, 0.385, 0.199]],
  "vol_a3_per_atom": 12.2,
  "polymorph_energy_mev_per_atom": 0,
  "space_group": "Pbam",
  "ef_ev_per_atom": -1.755
}